! Na10Zr4Ti4Si9S3O48 PBE optimized geometry; values from VASP
&SYSTEM
  ibrav = 0, nat = 234, ntyp = 6
/
ATOMIC_SPECIES
Ti 47.87 Ti.upf
Si 28.09 Si.upf
O 16.00 O.upf
Na 22.99 Na.upf
Zr 91.22 Zr.upf
S 32.06 S.upf
ATOMIC_POSITIONS crystal
Ti 0.834 0.346 0.183
Ti 0.163 0.671 0.817
Ti 0.996 0.994 0.853
Ti 0.993 0.994 0.352
Ti 0.671 0.668 0.018
Ti 0.829 0.310 0.981
Ti 0.174 0.678 0.517
Ti 0.993 0.974 0.649
Ti 0.174 0.671 0.015
Ti 0.493 0.995 0.856
Ti 0.664 0.682 0.814
Ti 0.992 0.013 0.145
Si 0.310 0.957 0.415
Si 0.816 0.966 0.412
Si 0.827 0.039 0.085
Si 0.000 0.709 0.753
Si 0.833 0.629 0.586
Si 0.860 0.711 0.247
Si 0.328 0.628 0.582
Si 0.855 0.991 0.752
Si 0.529 0.383 0.916
Si 0.693 0.340 0.081
Si 0.520 0.664 0.418
Si 0.499 0.708 0.754
Si 0.180 0.332 0.082
Si 0.665 0.955 0.918
Si 0.310 0.667 0.913
Si 0.021 0.383 0.918
Si 0.023 0.672 0.418
Si 0.327 0.027 0.082
Si 0.159 0.943 0.917
Si 0.181 0.029 0.586
Si 0.683 0.036 0.586
Si 0.162 0.373 0.418
Si 0.666 0.371 0.418
Si 0.996 0.288 0.249
Si 0.500 0.303 0.249
Si 0.351 0.701 0.249
Si 0.350 0.992 0.755
O 0.933 0.509 0.136
O 0.578 0.965 0.911
O 0.244 0.366 0.137
O 0.495 0.799 0.088
O 0.577 0.699 0.478
O 0.324 0.503 0.920
O 0.585 0.475 0.976
O 0.928 0.503 0.424
O 0.938 0.357 0.635
O 0.165 0.495 0.075
O 0.567 0.635 0.077
O 0.014 0.844 0.410
O 0.089 0.201 0.698
O 0.086 0.013 0.594
O 0.985 0.792 0.091
O 0.255 0.823 0.760
O 0.661 0.855 0.252
O 0.187 0.498 0.361
O 0.747 0.320 0.025
O 0.596 0.984 0.197
O 0.756 0.887 0.354
O 0.513 0.210 0.190
O 0.224 0.144 0.526
O 0.253 0.881 0.356
O 0.340 0.512 0.246
O 0.166 0.835 0.577
O 0.413 0.017 0.812
O 0.748 0.645 0.583
O 0.819 0.140 0.142
O 0.916 0.028 0.091
O 0.431 0.550 0.027
O 0.910 0.978 0.407
O 0.405 0.828 0.195
O 0.645 0.457 0.474
O 0.513 0.837 0.412
O 0.405 0.972 0.415
O 0.594 0.218 0.698
O 0.656 0.466 0.760
O 0.225 0.304 0.022
O 0.150 0.458 0.755
O 0.564 0.492 0.580
O 0.079 0.184 0.409
O 0.760 0.820 0.759
O 0.007 0.191 0.190
O 0.588 0.698 0.762
O 0.601 0.180 0.804
O 0.907 0.292 0.242
O 0.522 0.826 0.695
O 0.831 0.157 0.422
O 0.488 0.185 0.308
O 0.336 0.160 0.751
O 0.729 0.302 0.748
O 0.059 0.629 0.080
O 0.581 0.515 0.862
O 0.084 0.467 0.975
O 0.242 0.120 0.644
O 0.405 0.785 0.311
O 0.992 0.180 0.592
O 0.065 0.631 0.361
O 0.262 0.829 0.471
O 0.731 0.145 0.526
O 0.931 0.304 0.529
O 0.242 0.841 0.075
O 0.246 0.634 0.859
O 0.746 0.850 0.073
O 0.349 0.157 0.025
O 0.610 0.024 0.304
O 0.742 0.128 0.644
O 0.758 0.642 0.863
O 0.321 0.507 0.639
O 0.993 0.825 0.807
O 0.247 0.350 0.423
O 0.226 0.297 0.747
O 0.909 0.977 0.696
O 0.598 0.171 0.085
O 0.409 0.299 0.245
O 0.688 0.496 0.361
O 0.736 0.161 0.244
O 0.070 0.504 0.860
O 0.754 0.363 0.139
O 0.775 0.838 0.469
O 0.686 0.873 0.858
O 0.247 0.135 0.920
O 0.399 0.975 0.697
O 0.654 0.823 0.972
O 0.822 0.516 0.924
O 0.920 0.818 0.593
O 0.010 0.188 0.908
O 0.584 0.492 0.249
O 0.916 0.801 0.309
O 0.089 0.701 0.758
O 0.826 0.507 0.640
O 0.415 0.519 0.749
O 0.015 0.828 0.693
O 0.913 0.841 0.193
O 0.267 0.703 0.972
O 0.924 0.355 0.926
O 0.433 0.368 0.921
O 0.080 0.982 0.909
O 0.849 0.521 0.239
O 0.568 0.634 0.362
O 0.102 0.019 0.305
O 0.319 0.121 0.142
O 0.754 0.140 0.926
O 0.417 0.018 0.085
O 0.262 0.707 0.250
O 0.914 0.017 0.812
O 0.514 0.189 0.909
O 0.228 0.153 0.247
O 0.405 0.841 0.910
O 0.589 0.021 0.587
O 0.430 0.310 0.529
O 0.081 0.474 0.251
O 0.771 0.695 0.969
O 0.242 0.642 0.575
O 0.416 0.815 0.589
O 0.066 0.490 0.579
O 0.351 0.550 0.524
O 0.492 0.814 0.811
O 0.425 0.494 0.422
O 0.491 0.183 0.590
O 0.915 0.523 0.750
O 0.896 0.827 0.912
O 0.150 0.825 0.973
O 0.855 0.558 0.525
O 0.101 0.183 0.806
O 0.839 0.155 0.748
O 0.848 0.164 0.026
O 0.440 0.516 0.133
O 0.985 0.163 0.306
O 0.325 0.148 0.424
O 0.146 0.470 0.474
O 0.752 0.354 0.422
O 0.435 0.354 0.635
O 0.584 0.181 0.411
O 0.679 0.505 0.073
O 0.769 0.710 0.251
O 0.152 0.848 0.253
O 0.922 0.539 0.030
O 0.086 0.159 0.091
O 0.082 0.703 0.477
O 0.667 0.841 0.583
O 0.090 0.985 0.197
O 0.179 0.863 0.858
Na 0.342 0.343 0.831
Na 0.163 0.029 0.416
Na 0.339 0.352 0.331
Na 0.347 0.662 0.416
Na 0.508 0.013 0.997
Na 0.017 0.337 0.079
Na 0.177 0.670 0.667
Na 0.516 0.705 0.579
Na 0.005 0.989 0.002
Na 0.502 0.002 0.501
Na 0.852 0.669 0.415
Na 0.673 0.658 0.165
Na 0.840 0.352 0.329
Na 0.666 0.027 0.420
Na 0.854 0.042 0.914
Na 0.171 0.661 0.163
Na 0.485 0.306 0.414
Na 0.684 0.996 0.748
Na 0.821 0.002 0.248
Na 0.484 0.667 0.913
Na 0.184 0.989 0.749
Na 0.987 0.309 0.414
Na 0.350 0.034 0.915
Na 0.019 0.702 0.579
Na 0.679 0.672 0.668
Na 0.160 0.300 0.917
Na 0.845 0.354 0.835
Na 0.320 0.999 0.249
Na 0.518 0.330 0.080
Na 0.004 0.007 0.502
Zr 0.495 0.987 0.650
Zr 0.494 0.994 0.352
Zr 0.835 0.333 0.689
Zr 0.163 0.651 0.312
Zr 0.831 0.337 0.483
Zr 0.325 0.329 0.483
Zr 0.330 0.333 0.688
Zr 0.326 0.319 0.978
Zr 0.498 0.008 0.145
Zr 0.667 0.654 0.312
Zr 0.676 0.680 0.519
Zr 0.326 0.331 0.185
S 0.480 0.333 0.584
S 0.983 0.330 0.584
S 0.650 0.006 0.249
S 0.483 0.626 0.081
S 0.140 0.998 0.250
S 0.810 0.664 0.916
S 0.139 0.286 0.751
S 0.975 0.621 0.083
S 0.643 0.293 0.753
CELL_PARAMETERS angstrom
18.071 0.012 0.010
-4.513 7.845 -0.003
0.013 -0.002 22.706
! Size of the total moment (μB/f.u.): 0.0
! Crystal system: triclinic
! Symmetry: P1
! E_form (eV per atom): -2.954